(1)
Compound: Li5Ni6O12
Source: the Materials Project
Functional: PBE+U
Structure: optimized geometry

The raw total energy is -112.21 eV per cell.

Cell lengths 5.817, 6.413, 6.414 Å; angles 71.14, 76.70, 65.56 degrees
Fractional coordinates of all 23 atoms:
1 Li 0.000 0.000 0.000
2 Li 0.160 0.353 0.650
3 Li 0.486 0.998 0.000
4 Li 0.650 0.348 0.654
5 Li 0.828 0.672 0.326
6 Ni 0.075 0.170 0.325
7 Ni 0.240 0.509 0.997
8 Ni 0.406 0.841 0.654
9 Ni 0.571 0.181 0.328
10 Ni 0.741 0.511 0.993
11 Ni 0.910 0.841 0.656
12 O 0.026 0.082 0.639
13 O 0.118 0.262 0.013
14 O 0.196 0.405 0.311
15 O 0.285 0.596 0.688
16 O 0.371 0.751 0.965
17 O 0.420 0.951 0.339
18 O 0.525 0.087 0.638
19 O 0.619 0.272 0.014
20 O 0.740 0.397 0.315
21 O 0.788 0.605 0.667
22 O 0.861 0.748 0.977
23 O 0.935 0.945 0.339

***

(2)
Compound: Li6Ni5O10
Source: the Materials Project
Functional: PBE+U
Structure: optimized geometry

The raw total energy is -101.70 eV per cell.

Cell lengths 5.174, 5.636, 7.745 Å; angles 70.79, 70.80, 66.91 degrees
Fractional coordinates of all 21 atoms:
1 Li 0.164 0.105 0.455
2 Li 0.277 0.926 0.754
3 Li 0.281 0.075 0.094
4 Li 0.719 0.925 0.906
5 Li 0.723 0.074 0.246
6 Li 0.836 0.895 0.545
7 Ni 0.097 0.496 0.803
8 Ni 0.308 0.512 0.395
9 Ni 0.500 0.500 0.000
10 Ni 0.692 0.488 0.605
11 Ni 0.903 0.504 0.197
12 O 0.080 0.704 0.960
13 O 0.115 0.293 0.642
14 O 0.257 0.732 0.580
15 O 0.330 0.286 0.224
16 O 0.496 0.714 0.148
17 O 0.504 0.286 0.852
18 O 0.670 0.714 0.776
19 O 0.743 0.268 0.420
20 O 0.885 0.707 0.358
21 O 0.920 0.296 0.040

***

(3)
Compound: LiNi2O3
Source: the Materials Project
Functional: PBE+U
Structure: optimized geometry

The value obtained for the offset from the most stable computed form is 0.036 eV/f.u.

Cell lengths 5.106, 5.106, 9.752 Å; angles 95.33, 95.33, 120.73 degrees
Fractional coordinates of all 24 atoms:
1 Li 0.084 0.916 0.500
2 Li 0.252 0.742 0.002
3 Li 0.742 0.252 0.502
4 Li 0.916 0.084 0.000
5 Ni 0.001 0.501 0.251
6 Ni 0.168 0.333 0.751
7 Ni 0.333 0.168 0.251
8 Ni 0.414 0.589 0.501
9 Ni 0.501 0.001 0.751
10 Ni 0.589 0.414 0.001
11 Ni 0.668 0.836 0.250
12 Ni 0.836 0.668 0.750
13 O 0.029 0.224 0.365
14 O 0.137 0.649 0.638
15 O 0.224 0.029 0.865
16 O 0.317 0.469 0.127
17 O 0.349 0.850 0.367
18 O 0.469 0.317 0.627
19 O 0.565 0.698 0.871
20 O 0.649 0.137 0.138
21 O 0.698 0.565 0.371
22 O 0.765 0.961 0.635
23 O 0.850 0.349 0.867
24 O 0.961 0.765 0.135

***

(4)
Compound: Li5NiO4
Source: the Materials Project
Functional: PBE+U
Structure: optimized geometry

The raw total energy is -191.49 eV per cell.

Cell lengths 4.780, 9.432, 8.686 Å; angles 90.00, 90.00, 90.00 degrees
Fractional coordinates of all 40 atoms:
1 O 0.084 0.877 0.889
2 O 0.416 0.877 0.611
3 O 0.023 0.118 0.622
4 O 0.523 0.618 0.878
5 O 0.023 0.618 0.122
6 O 0.416 0.377 0.111
7 O 0.977 0.118 0.122
8 O 0.916 0.377 0.889
9 O 0.523 0.118 0.378
10 O 0.084 0.377 0.389
11 O 0.584 0.877 0.111
12 O 0.584 0.377 0.611
13 O 0.916 0.877 0.389
14 O 0.977 0.618 0.622
15 O 0.477 0.618 0.378
16 O 0.477 0.118 0.878
17 Li 0.276 0.996 0.046
18 Li 0.750 0.732 0.250
19 Li 0.306 0.248 0.536
20 Li 0.306 0.748 0.036
21 Li 0.806 0.248 0.464
22 Li 0.694 0.248 0.036
23 Li 0.806 0.748 0.964
24 Li 0.724 0.996 0.545
25 Li 0.194 0.748 0.464
26 Li 0.750 0.232 0.750
27 Li 0.194 0.248 0.964
28 Li 0.276 0.496 0.545
29 Li 0.224 0.996 0.454
30 Li 0.224 0.496 0.955
31 Li 0.776 0.496 0.454
32 Li 0.694 0.748 0.536
33 Li 0.724 0.496 0.046
34 Li 0.776 0.996 0.955
35 Li 0.250 0.232 0.250
36 Li 0.250 0.732 0.750
37 Ni 0.750 0.006 0.250
38 Ni 0.250 0.006 0.750
39 Ni 0.250 0.506 0.250
40 Ni 0.750 0.506 0.750

***

(5)
Compound: LiNiO2
Source: the Materials Project
Functional: PBE+U
Structure: optimized geometry

The raw total energy is -19.61 eV per cell.

Cell lengths 5.085, 5.085, 5.085 Å; angles 33.20, 33.20, 33.20 degrees
Fractional coordinates of all 4 atoms:
1 Li 0.000 0.000 0.000
2 Ni 0.500 0.500 0.500
3 O 0.242 0.242 0.242
4 O 0.758 0.758 0.758

***

(6)
Compound: Li3Ni4O8
Source: the Materials Project
Functional: PBE+U
Structure: optimized geometry

The value obtained for the offset from the most stable computed form is 0.089 eV/f.u.

Cell lengths 5.808, 5.808, 5.107 Å; angles 107.20, 107.20, 58.39 degrees
Fractional coordinates of all 15 atoms:
1 Li 0.000 0.000 0.000
2 Li 0.000 0.500 0.000
3 Li 0.500 0.000 0.000
4 Ni 0.252 0.252 0.508
5 Ni 0.252 0.748 0.500
6 Ni 0.748 0.252 0.500
7 Ni 0.748 0.748 0.492
8 O 0.098 0.616 0.715
9 O 0.128 0.128 0.721
10 O 0.368 0.368 0.294
11 O 0.384 0.902 0.285
12 O 0.616 0.098 0.715
13 O 0.632 0.632 0.706
14 O 0.872 0.872 0.279
15 O 0.902 0.384 0.285

***

(7)
Compound: LiNiO2
Source: the Materials Project
Functional: PBE+U
Structure: optimized geometry

The raw total energy is -156.02 eV per cell.

Cell lengths 5.795, 5.802, 8.135 Å; angles 90.38, 90.30, 90.72 degrees
Fractional coordinates of all 32 atoms:
1 Li 0.000 0.000 0.000
2 Li 0.001 0.494 0.503
3 Li 0.253 0.749 0.751
4 Li 0.497 0.996 0.998
5 Li 0.498 0.493 0.500
6 Li 0.503 0.496 0.000
7 Li 0.747 0.243 0.250
8 Li 0.997 0.994 0.501
9 Ni 0.004 0.499 0.999
10 Ni 0.249 0.745 0.247
11 Ni 0.251 0.243 0.251
12 Ni 0.251 0.244 0.751
13 Ni 0.496 0.993 0.502
14 Ni 0.748 0.245 0.751
15 Ni 0.748 0.746 0.250
16 Ni 0.748 0.747 0.751
17 O 0.005 0.505 0.767
18 O 0.014 0.509 0.235
19 O 0.015 0.972 0.250
20 O 0.231 0.269 0.995
21 O 0.236 0.732 0.015
22 O 0.259 0.755 0.480
23 O 0.261 0.228 0.506
24 O 0.481 0.977 0.244
25 O 0.483 0.517 0.249
26 O 0.496 0.989 0.757
27 O 0.520 0.480 0.751
28 O 0.733 0.230 0.511
29 O 0.733 0.758 0.504
30 O 0.771 0.267 0.992
31 O 0.772 0.728 0.998
32 O 0.979 0.011 0.751

***

(8)
Compound: LiNiO2
Source: the Materials Project
Functional: PBE+U
Structure: optimized geometry

The raw total energy is -58.99 eV per cell.

Cell lengths 4.999, 5.016, 5.064 Å; angles 71.03, 79.95, 60.93 degrees
Fractional coordinates of all 12 atoms:
1 Li 0.000 0.000 0.000
2 Li 0.317 0.357 0.992
3 Li 0.640 0.693 0.988
4 Ni 0.316 0.849 0.493
5 Ni 0.650 0.183 0.492
6 Ni 0.984 0.520 0.493
7 O 0.004 0.776 0.727
8 O 0.320 0.617 0.265
9 O 0.332 0.091 0.710
10 O 0.623 0.459 0.711
11 O 0.628 0.939 0.269
12 O 0.993 0.231 0.275

***

(9)
Compound: Li2NiO3
Source: the Materials Project
Functional: PBE+U
Structure: optimized geometry

The raw total energy is -117.38 eV per cell.

Cell lengths 4.927, 4.927, 9.569 Å; angles 94.95, 94.95, 120.00 degrees
Fractional coordinates of all 24 atoms:
1 Li 0.000 0.500 0.500
2 Li 0.084 0.916 0.750
3 Li 0.158 0.320 0.000
4 Li 0.320 0.158 0.500
5 Li 0.500 0.000 0.000
6 Li 0.680 0.842 0.500
7 Li 0.842 0.680 0.000
8 Li 0.916 0.084 0.250
9 Ni 0.250 0.750 0.250
10 Ni 0.417 0.583 0.750
11 Ni 0.583 0.417 0.250
12 Ni 0.750 0.250 0.750
13 O 0.047 0.238 0.637
14 O 0.121 0.594 0.861
15 O 0.238 0.047 0.137
16 O 0.313 0.481 0.361
17 O 0.406 0.879 0.639
18 O 0.481 0.313 0.861
19 O 0.519 0.687 0.139
20 O 0.594 0.121 0.361
21 O 0.687 0.519 0.639
22 O 0.762 0.953 0.863
23 O 0.879 0.406 0.139
24 O 0.953 0.762 0.363

***

(10)
Compound: Li2NiO3
Source: the Materials Project
Functional: PBE+U
Structure: optimized geometry

The raw total energy is -58.70 eV per cell.

Cell lengths 4.896, 4.896, 5.004 Å; angles 99.44, 99.44, 119.95 degrees
Fractional coordinates of all 12 atoms:
1 Li 0.000 0.000 0.000
2 Li 0.162 0.838 0.500
3 Li 0.500 0.500 0.500
4 Li 0.838 0.162 0.500
5 Ni 0.333 0.667 0.000
6 Ni 0.667 0.333 0.000
7 O 0.073 0.432 0.221
8 O 0.283 0.283 0.776
9 O 0.432 0.073 0.221
10 O 0.568 0.927 0.779
11 O 0.717 0.717 0.224
12 O 0.927 0.568 0.779

***

(11)
Compound: LiNiO2
Source: the Materials Project
Functional: PBE+U
Structure: optimized geometry

The raw total energy is -78.27 eV per cell.

Cell lengths 5.060, 5.060, 8.178 Å; angles 113.52, 113.52, 47.07 degrees
Fractional coordinates of all 16 atoms:
1 Li 0.122 0.122 0.188
2 Li 0.135 0.135 0.691
3 Li 0.865 0.865 0.309
4 Li 0.878 0.878 0.812
5 Ni 0.375 0.375 0.063
6 Ni 0.378 0.378 0.563
7 Ni 0.622 0.622 0.437
8 Ni 0.625 0.625 0.937
9 O 0.142 0.142 0.945
10 O 0.151 0.151 0.451
11 O 0.392 0.392 0.805
12 O 0.395 0.395 0.336
13 O 0.605 0.605 0.664
14 O 0.608 0.608 0.195
15 O 0.849 0.849 0.549
16 O 0.858 0.858 0.055

***

(12)
Compound: Li6NiO4
Source: the Materials Project
Functional: PBE+U
Structure: optimized geometry

The value obtained for the offset from the most stable computed form is 0.000 eV/f.u.

Cell lengths 8.023, 8.147, 8.021 Å; angles 109.46, 108.83, 109.48 degrees
Fractional coordinates of all 44 atoms:
1 O 0.904 0.517 0.653
2 O 0.612 0.251 0.102
3 O 0.364 0.017 0.614
4 O 0.597 0.483 0.846
5 O 0.097 0.483 0.347
6 O 0.112 0.251 0.602
7 O 0.648 0.749 0.638
8 O 0.148 0.749 0.138
9 O 0.389 0.751 0.900
10 O 0.889 0.751 0.400
11 O 0.636 0.983 0.386
12 O 0.136 0.983 0.886
13 O 0.864 0.017 0.114
14 O 0.851 0.249 0.861
15 O 0.350 0.249 0.361
16 O 0.403 0.517 0.153
17 Li 0.376 0.969 0.845
18 Li 0.900 0.750 0.650
19 Li 0.876 0.969 0.345
20 Li 0.405 0.031 0.374
21 Li 0.658 0.532 0.126
22 Li 0.650 0.750 0.401
23 Li 0.624 0.468 0.592
24 Li 0.150 0.750 0.901
25 Li 0.400 0.750 0.150
26 Li 0.600 0.250 0.850
27 Li 0.850 0.250 0.099
28 Li 0.376 0.531 0.407
29 Li 0.094 0.968 0.126
30 Li 0.100 0.250 0.350
31 Li 0.124 0.468 0.092
32 Li 0.159 0.532 0.626
33 Li 0.124 0.032 0.656
34 Li 0.905 0.031 0.874
35 Li 0.876 0.531 0.907
36 Li 0.624 0.032 0.156
37 Li 0.343 0.469 0.874
38 Li 0.843 0.469 0.374
39 Li 0.594 0.968 0.626
40 Li 0.350 0.250 0.600
41 Ni 0.632 0.750 0.882
42 Ni 0.868 0.250 0.618
43 Ni 0.132 0.750 0.382
44 Ni 0.368 0.250 0.118

***

(13)
Compound: Li2NiO2
Source: the Materials Project
Functional: PBE+U
Structure: optimized geometry

The value obtained for the offset from the most stable computed form is 0.453 eV/f.u.

Cell lengths 5.142, 5.142, 3.749 Å; angles 111.21, 111.21, 31.87 degrees
Fractional coordinates of all 5 atoms:
1 Li 0.204 0.204 0.205
2 Li 0.796 0.796 0.795
3 Ni 0.500 0.500 0.500
4 O 0.142 0.142 0.643
5 O 0.858 0.858 0.357

***

(14)
Compound: Li2NiP2O7
Source: the Materials Project
Functional: PBE+U
Structure: optimized geometry

The piezoelectric modulus e_max is 5.32 C/m2. The value obtained for the offset from the most stable computed form is 0.000 eV/f.u.

Cell lengths 4.997, 13.443, 8.280 Å; angles 90.00, 90.00, 91.43 degrees
Fractional coordinates of all 48 atoms:
1 Li 0.844 0.675 0.145
2 Li 0.301 0.958 0.820
3 Li 0.199 0.542 0.320
4 Li 0.344 0.175 0.145
5 Li 0.656 0.825 0.645
6 Li 0.699 0.042 0.320
7 Li 0.156 0.325 0.645
8 Li 0.801 0.458 0.820
9 O 0.731 0.128 0.834
10 O 0.233 0.054 0.299
11 O 0.023 0.252 0.156
12 O 0.662 0.048 0.553
13 O 0.047 0.243 0.462
14 O 0.523 0.752 0.156
15 O 0.231 0.628 0.834
16 O 0.130 0.058 0.681
17 O 0.620 0.189 0.312
18 O 0.370 0.442 0.181
19 O 0.769 0.372 0.334
20 O 0.880 0.311 0.812
21 O 0.162 0.548 0.553
22 O 0.338 0.952 0.053
23 O 0.630 0.558 0.681
24 O 0.267 0.446 0.799
25 O 0.120 0.689 0.312
26 O 0.453 0.257 0.962
27 O 0.733 0.554 0.299
28 O 0.977 0.748 0.656
29 O 0.547 0.743 0.462
30 O 0.380 0.811 0.812
31 O 0.477 0.248 0.656
32 O 0.870 0.942 0.181
33 O 0.768 0.946 0.799
34 O 0.838 0.452 0.053
35 O 0.269 0.872 0.334
36 O 0.953 0.757 0.962
37 Ni 0.843 0.640 0.504
38 Ni 0.657 0.860 0.004
39 Ni 0.157 0.360 0.004
40 Ni 0.343 0.140 0.504
41 P 0.328 0.543 0.708
42 P 0.671 0.457 0.208
43 P 0.172 0.957 0.208
44 P 0.630 0.241 0.815
45 P 0.828 0.043 0.708
46 P 0.870 0.259 0.315
47 P 0.131 0.741 0.815
48 P 0.370 0.759 0.315

***

Computed mass density (g/cm3) in order:
4.69, 4.31, 5.33, 2.67, 4.62, 4.61, 4.74, 4.64, 4.04, 4.08, 4.70, 2.68, 3.58, 2.94